Sc3B2Rh5: relaxed, GGA-PBE.

Lattice parameters (Å, degrees): 9.527 9.527 3.115 90.00 90.00 90.00
Fractional positions:
1 Sc 0.825 0.325 0.000
2 Sc 0.325 0.175 0.000
3 Sc 0.675 0.825 0.000
4 Sc 0.175 0.675 0.000
5 Sc 0.000 0.000 0.000
6 Sc 0.500 0.500 0.000
7 B 0.622 0.122 0.000
8 B 0.122 0.378 0.000
9 B 0.878 0.622 0.000
10 B 0.378 0.878 0.000
11 Rh 0.072 0.223 0.500
12 Rh 0.223 0.928 0.500
13 Rh 0.777 0.072 0.500
14 Rh 0.928 0.777 0.500
15 Rh 0.428 0.723 0.500
16 Rh 0.572 0.277 0.500
17 Rh 0.723 0.572 0.500
18 Rh 0.277 0.428 0.500
19 Rh 0.500 0.000 0.500
20 Rh 0.000 0.500 0.500

The value obtained for the formation energy is -0.8783 eV per atom. Its space group is P4/mbm.

Hf2In2SiS5O24: relaxed, GGA-PBE.

Lattice parameters (Å, degrees): 8.882 8.968 23.204 90.27 89.85 119.73
Fractional positions:
1 Hf 0.997 0.006 0.643
2 Hf 0.008 0.008 0.144
3 Hf 0.675 0.323 0.477
4 Hf 0.335 0.660 0.022
5 Hf 0.337 0.668 0.522
6 Hf 0.340 0.674 0.313
7 In 0.995 0.002 0.356
8 In 0.003 0.001 0.854
9 In 0.675 0.337 0.686
10 In 0.661 0.335 0.185
11 In 0.659 0.331 0.981
12 In 0.331 0.666 0.812
13 Si 0.958 0.337 0.584
14 Si 0.381 0.334 0.083
15 Si 0.623 0.954 0.417
16 S 0.287 0.998 0.251
17 S 0.712 0.709 0.250
18 S 0.998 0.291 0.249
19 S 0.291 0.289 0.750
20 S 0.999 0.711 0.750
21 S 0.709 0.999 0.751
22 S 0.377 0.044 0.583
23 S 0.667 0.622 0.584
24 S 0.960 0.627 0.083
25 S 0.667 0.040 0.083
26 S 0.625 0.668 0.916
27 S 0.041 0.377 0.917
28 S 0.334 0.955 0.916
29 S 0.336 0.382 0.417
30 S 0.047 0.667 0.416
31 O 0.208 0.027 0.303
32 O 0.818 0.788 0.302
33 O 0.968 0.186 0.301
34 O 0.217 0.186 0.802
35 O 0.973 0.789 0.804
36 O 0.816 0.028 0.803
37 O 0.799 0.975 0.700
38 O 0.178 0.200 0.699
39 O 0.023 0.821 0.699
40 O 0.791 0.818 0.199
41 O 0.025 0.205 0.198
42 O 0.176 0.972 0.200
43 O 0.882 0.375 0.642
44 O 0.480 0.114 0.636
45 O 0.628 0.517 0.636
46 O 0.893 0.518 0.135
47 O 0.632 0.112 0.135
48 O 0.494 0.377 0.141
49 O 0.451 0.290 0.026
50 O 0.853 0.554 0.032
51 O 0.709 0.150 0.032
52 O 0.455 0.157 0.533
53 O 0.695 0.542 0.532
54 O 0.832 0.303 0.528
55 O 0.535 0.691 0.967
56 O 0.154 0.466 0.968
57 O 0.310 0.846 0.967
58 O 0.522 0.834 0.472
59 O 0.305 0.463 0.468
60 O 0.154 0.688 0.468
61 O 0.125 0.633 0.364
62 O 0.498 0.858 0.360
63 O 0.359 0.489 0.364
64 O 0.116 0.481 0.864
65 O 0.360 0.877 0.863
66 O 0.517 0.638 0.864
67 O 0.035 0.822 0.409
68 O 0.812 0.975 0.411
69 O 0.186 0.210 0.409
70 O 0.029 0.207 0.911
71 O 0.176 0.971 0.911
72 O 0.794 0.828 0.911
73 O 0.977 0.165 0.595
74 O 0.200 0.022 0.593
75 O 0.823 0.794 0.593
76 O 0.978 0.798 0.095
77 O 0.816 0.012 0.094
78 O 0.186 0.168 0.096
79 O 0.686 0.148 0.744
80 O 0.464 0.308 0.740
81 O 0.844 0.542 0.745
82 O 0.693 0.538 0.244
83 O 0.845 0.312 0.239
84 O 0.461 0.144 0.243
85 O 0.648 0.519 0.923
86 O 0.869 0.358 0.926
87 O 0.490 0.125 0.922
88 O 0.630 0.139 0.425
89 O 0.495 0.373 0.426
90 O 0.873 0.515 0.425
91 O 0.351 0.499 0.070
92 O 0.138 0.655 0.072
93 O 0.513 0.869 0.072
94 O 0.354 0.872 0.573
95 O 0.517 0.649 0.574
96 O 0.147 0.498 0.569
97 O 0.296 0.836 0.258
98 O 0.535 0.690 0.258
99 O 0.155 0.462 0.257
100 O 0.304 0.459 0.755
101 O 0.158 0.696 0.755
102 O 0.540 0.839 0.756

The total magnetization is 0.000 μB per formula unit. The value obtained for the formation energy is -2.3773 eV per atom. Its space group is P1.

Sc3Pb: relaxed, GGA-PBE.

Lattice parameters (Å, degrees): 5.857 5.857 5.857 135.95 135.95 64.06
Fractional positions:
1 Sc 0.750 0.250 0.500
2 Sc 0.250 0.750 0.500
3 Sc 0.500 0.500 0.000
4 Pb 0.000 0.000 0.000

The value obtained for the formation energy is -0.2748 eV per atom. Its space group is I4/mmm.

Cu3Ru: relaxed, GGA-PBE.

Lattice parameters (Å, degrees): 5.258 5.258 4.212 90.00 90.00 120.00
Fractional positions:
1 Cu 0.164 0.329 0.250
2 Cu 0.671 0.836 0.250
3 Cu 0.164 0.836 0.250
4 Cu 0.836 0.671 0.750
5 Cu 0.329 0.164 0.750
6 Cu 0.836 0.164 0.750
7 Ru 0.333 0.667 0.750
8 Ru 0.667 0.333 0.250

The total magnetization is 0.989 μB per formula unit. The value obtained for the formation energy is 0.2728 eV per atom. Its space group is P6_3/mmc.

NaCa3: relaxed, GGA-PBE.

Lattice parameters (Å, degrees): 6.134 6.134 6.134 60.00 60.00 60.00
Fractional positions:
1 Na 0.000 0.000 0.000
2 Ca 0.250 0.250 0.250
3 Ca 0.750 0.750 0.750
4 Ca 0.500 0.500 0.500

The total magnetization is 0.000 μB per formula unit. The value obtained for the formation energy is 0.0874 eV per atom. Its space group is Fm-3m.

Rb3Bi2I9: relaxed, GGA-PBE.

Lattice parameters (Å, degrees): 8.596 8.596 21.932 89.30 89.30 119.84
Fractional positions:
1 Rb 0.997 0.003 0.750
2 Rb 0.667 0.331 0.077
3 Rb 0.003 0.997 0.250
4 Rb 0.331 0.667 0.577
5 Rb 0.333 0.669 0.923
6 Rb 0.669 0.333 0.423
7 Bi 0.655 0.324 0.656
8 Bi 0.345 0.676 0.344
9 Bi 0.324 0.655 0.156
10 Bi 0.676 0.345 0.844
11 I 0.648 0.814 0.075
12 I 0.352 0.186 0.925
13 I 0.496 0.998 0.757
14 I 0.187 0.856 0.417
15 I 0.856 0.187 0.917
16 I 0.814 0.648 0.575
17 I 0.813 0.144 0.583
18 I 0.308 0.150 0.590
19 I 0.504 0.002 0.243
20 I 0.002 0.504 0.743
21 I 0.144 0.813 0.083
22 I 0.998 0.496 0.257
23 I 0.497 0.503 0.750
24 I 0.850 0.692 0.910
25 I 0.150 0.308 0.090
26 I 0.692 0.850 0.410
27 I 0.503 0.497 0.250
28 I 0.186 0.352 0.425

For the energy relative to the lowest polymorph listed for this composition, the calculation gives 16.9 meV per atom. The value obtained for the formation energy is -1.1609 eV per atom. Its space group is C2/c.

Li2P2H2O7: relaxed, GGA-PBE.

Lattice parameters (Å, degrees): 10.137 10.137 10.137 103.86 103.86 103.86
Fractional positions:
1 Li 0.500 0.807 0.193
2 Li 0.807 0.193 0.500
3 Li 0.193 0.500 0.807
4 Li 0.193 0.807 0.500
5 Li 0.807 0.500 0.193
6 Li 0.500 0.193 0.807
7 Li 0.240 0.798 0.240
8 Li 0.798 0.240 0.240
9 Li 0.240 0.240 0.798
10 Li 0.760 0.202 0.760
11 Li 0.202 0.760 0.760
12 Li 0.760 0.760 0.202
13 P 0.297 0.111 0.484
14 P 0.111 0.484 0.297
15 P 0.484 0.297 0.111
16 P 0.484 0.111 0.297
17 P 0.111 0.297 0.484
18 P 0.297 0.484 0.111
19 P 0.703 0.889 0.516
20 P 0.889 0.516 0.703
21 P 0.516 0.703 0.889
22 P 0.516 0.889 0.703
23 P 0.889 0.703 0.516
24 P 0.703 0.516 0.889
25 H 0.979 0.713 0.075
26 H 0.713 0.075 0.979
27 H 0.075 0.979 0.713
28 H 0.075 0.713 0.979
29 H 0.713 0.979 0.075
30 H 0.979 0.075 0.713
31 H 0.021 0.287 0.925
32 H 0.287 0.925 0.021
33 H 0.925 0.021 0.287
34 H 0.925 0.287 0.021
35 H 0.287 0.021 0.925
36 H 0.021 0.925 0.287
37 O 0.218 0.955 0.404
38 O 0.955 0.404 0.218
39 O 0.404 0.218 0.955
40 O 0.404 0.955 0.218
41 O 0.955 0.218 0.404
42 O 0.218 0.404 0.955
43 O 0.782 0.045 0.596
44 O 0.045 0.596 0.782
45 O 0.596 0.782 0.045
46 O 0.596 0.045 0.782
47 O 0.045 0.782 0.596
48 O 0.782 0.596 0.045
49 O 0.644 0.159 0.339
50 O 0.159 0.339 0.644
51 O 0.339 0.644 0.159
52 O 0.339 0.159 0.644
53 O 0.159 0.644 0.339
54 O 0.644 0.339 0.159
55 O 0.356 0.841 0.661
56 O 0.841 0.661 0.356
57 O 0.661 0.356 0.841
58 O 0.661 0.841 0.356
59 O 0.841 0.356 0.661
60 O 0.356 0.661 0.841
61 O 0.439 0.161 0.439
62 O 0.161 0.439 0.439
63 O 0.439 0.439 0.161
64 O 0.561 0.839 0.561
65 O 0.839 0.561 0.561
66 O 0.561 0.561 0.839
67 O 0.797 0.581 0.797
68 O 0.581 0.797 0.797
69 O 0.797 0.797 0.581
70 O 0.203 0.419 0.203
71 O 0.419 0.203 0.203
72 O 0.203 0.203 0.419
73 O 0.075 0.760 0.075
74 O 0.760 0.075 0.075
75 O 0.075 0.075 0.760
76 O 0.925 0.240 0.925
77 O 0.240 0.925 0.925
78 O 0.925 0.925 0.240

The total magnetization is 0.001 μB per formula unit. The value obtained for the formation energy is -2.3633 eV per atom. Its space group is R-3m.

Ce2SbO2: relaxed, GGA-PBE.

Lattice parameters (Å, degrees): 4.010 4.010 6.819 73.91 73.91 89.88
Fractional positions:
1 Ce 0.662 0.662 0.691
2 Ce 0.338 0.338 0.309
3 Sb 0.000 0.000 0.000
4 O 0.250 0.750 0.500
5 O 0.750 0.250 0.500

For the energy relative to the lowest polymorph listed for this composition, the calculation gives 3.6 meV per atom. The total magnetization is 0.996 μB per formula unit. The value obtained for the formation energy is -2.9343 eV per atom. Its space group is C2/m.

What final energy values result from the calculations? In sequence: -7.796 -6.901 -5.952 -5.120 -1.747 -2.663 -6.306 -7.838 eV/atom.